Entry 1:
Here is a relaxed NbCo2Sn crystal from the Materials Project. Energies are from PBE-GGA.

Lattice parameters (Å, degrees): 8.835 5.927 4.483 90.00 90.00 90.00
Positions (direct):
Nb (0.000, 0.000, 0.000)
Nb (0.250, 0.500, 0.464)
Nb (0.500, 0.000, 0.000)
Nb (0.750, 0.500, 0.536)
Co (0.000, 0.251, 0.500)
Co (0.000, 0.749, 0.500)
Co (0.250, 0.248, 0.932)
Co (0.250, 0.752, 0.932)
Co (0.500, 0.251, 0.500)
Co (0.500, 0.749, 0.500)
Co (0.750, 0.248, 0.068)
Co (0.750, 0.752, 0.068)
Sn (0.000, 0.500, 0.000)
Sn (0.250, 0.000, 0.449)
Sn (0.500, 0.500, 0.000)
Sn (0.750, 0.000, 0.551)

Values from the calculation:
Energy of formation ... -0.131 eV per atom
Space group ... No. 51

Entry 2:
Here is a relaxed NbCo2Sn crystal from the Materials Project. Energies are from PBE-GGA.

Lattice parameters (Å, degrees): 3.200 3.200 5.925 90.00 90.00 90.00
Positions (direct):
Nb (0.000, 0.000, 0.000)
Co (0.500, 0.500, 0.222)
Co (0.500, 0.500, 0.778)
Sn (0.000, 0.000, 0.500)

Values from the calculation:
Energy of formation ... -0.040 eV per atom
Space group ... No. 123

Entry 3:
Here is a relaxed NbCo2Sn crystal from the Materials Project. Energies are from PBE-GGA.

Lattice parameters (Å, degrees): 4.369 4.369 4.369 60.00 60.00 60.00
Positions (direct):
Nb (0.000, 0.000, 0.000)
Co (0.250, 0.250, 0.250)
Co (0.750, 0.750, 0.750)
Sn (0.500, 0.500, 0.500)

Values from the calculation:
Energy of formation ... -0.122 eV per atom
Space group ... No. 225